Record 1
A geometry-optimized MgAlNi2 structure. Source: the Materials Project database, functional PBE-GGA.

Lattice parameters (Å, degrees): 4.170 4.170 4.170 60.00 60.00 60.00
Element x y z (fractional)
1 Mg 0.000 0.000 0.000
2 Al 0.500 0.500 0.500
3 Ni 0.250 0.250 0.250
4 Ni 0.750 0.750 0.750

Values from the calculation:
Calculated density: 5.461 Mg/m³
Calculated total energy: -4.6459 eV per atom

***

Record 2
A geometry-optimized Y16Mg3AlNi4 structure. Source: the Materials Project database, functional PBE-GGA.

Lattice parameters (Å, degrees): 9.616 9.616 9.616 60.51 60.51 60.51
Element x y z (fractional)
1 Y 0.435 0.069 0.435
2 Y 0.069 0.435 0.435
3 Y 0.435 0.435 0.069
4 Y 0.065 0.435 0.065
5 Y 0.435 0.065 0.065
6 Y 0.065 0.065 0.435
7 Y 0.814 0.187 0.814
8 Y 0.187 0.814 0.814
9 Y 0.814 0.814 0.187
10 Y 0.190 0.810 0.190
11 Y 0.810 0.190 0.190
12 Y 0.190 0.190 0.810
13 Y 0.653 0.653 0.653
14 Y 0.651 0.651 0.045
15 Y 0.045 0.651 0.651
16 Y 0.651 0.045 0.651
17 Mg 0.420 0.420 0.735
18 Mg 0.735 0.420 0.420
19 Mg 0.420 0.735 0.420
20 Al 0.418 0.418 0.418
21 Ni 0.857 0.857 0.857
22 Ni 0.858 0.858 0.426
23 Ni 0.426 0.858 0.858
24 Ni 0.858 0.426 0.858

Values from the calculation:
Calculated density: 4.588 Mg/m³
Calculated total energy: -5.8655 eV per atom

***

Record 3
A geometry-optimized Mg16Al12O structure. Source: the Materials Project database, functional PBE-GGA.

Lattice parameters (Å, degrees): 9.050 9.050 9.050 108.65 108.65 108.65
Element x y z (fractional)
1 Mg 0.463 0.463 0.695
2 Mg 0.006 0.006 0.336
3 Mg 0.701 0.701 0.290
4 Mg 0.805 0.805 0.805
5 Mg 0.695 0.463 0.463
6 Mg 0.594 0.330 0.003
7 Mg 0.330 0.003 0.594
8 Mg 0.336 0.006 0.006
9 Mg 0.003 0.594 0.330
10 Mg 0.701 0.290 0.701
11 Mg 0.290 0.701 0.701
12 Mg 0.594 0.003 0.330
13 Mg 0.006 0.336 0.006
14 Mg 0.003 0.330 0.594
15 Mg 0.330 0.594 0.003
16 Mg 0.463 0.695 0.463
17 Al 0.204 0.204 0.802
18 Al 0.354 0.354 0.161
19 Al 0.026 0.836 0.640
20 Al 0.354 0.161 0.354
21 Al 0.836 0.640 0.026
22 Al 0.026 0.640 0.836
23 Al 0.204 0.802 0.204
24 Al 0.802 0.204 0.204
25 Al 0.640 0.026 0.836
26 Al 0.640 0.836 0.026
27 Al 0.161 0.354 0.354
28 Al 0.836 0.026 0.640
29 O 0.594 0.594 0.594

Values from the calculation:
Calculated density: 2.060 Mg/m³
Total energy after the MP2020 corrections: -2.73 eV per atom
Excess energy over the best structure of this formula in the dataset: 0.09 eV per formula unit

***

Record 4
A geometry-optimized Mg16Al12O structure. Source: the Materials Project database, functional PBE-GGA.

Lattice parameters (Å, degrees): 9.178 9.178 9.178 109.47 109.47 109.47
Element x y z (fractional)
1 Mg 0.783 0.000 0.000
2 Mg 0.217 0.217 0.217
3 Mg 0.723 0.301 0.301
4 Mg 0.277 0.577 0.577
5 Mg 0.000 0.000 0.783
6 Mg 0.000 0.699 0.423
7 Mg 0.577 0.577 0.277
8 Mg 0.423 0.000 0.699
9 Mg 0.699 0.423 0.000
10 Mg 0.301 0.723 0.301
11 Mg 0.301 0.301 0.723
12 Mg 0.699 0.000 0.423
13 Mg 0.423 0.699 0.000
14 Mg 0.577 0.277 0.577
15 Mg 0.000 0.423 0.699
16 Mg 0.000 0.783 0.000
17 Al 0.197 0.808 0.808
18 Al 0.803 0.611 0.611
19 Al 0.611 0.803 0.611
20 Al 0.389 0.192 0.000
21 Al 0.000 0.389 0.192
22 Al 0.808 0.197 0.808
23 Al 0.192 0.389 0.000
24 Al 0.192 0.000 0.389
25 Al 0.808 0.808 0.197
26 Al 0.000 0.192 0.389
27 Al 0.389 0.000 0.192
28 Al 0.611 0.611 0.803
29 O 0.000 0.000 0.000

Values from the calculation:
Calculated density: 2.033 Mg/m³
Total energy after the MP2020 corrections: -2.74 eV per atom
Excess energy over the best structure of this formula in the dataset: 0.00 eV per formula unit

***

Record 5
A geometry-optimized Mg3Al14O24 structure. Source: the Materials Project database, functional PBE-GGA.

Lattice parameters (Å, degrees): 9.809 9.809 8.106 66.51 66.51 34.02
Element x y z (fractional)
1 Mg 0.420 0.420 0.456
2 Mg 0.086 0.086 0.794
3 Mg 0.913 0.913 0.211
4 Al 0.330 0.330 0.165
5 Al 0.833 0.833 0.666
6 Al 0.005 0.005 0.501
7 Al 0.669 0.165 0.831
8 Al 0.501 0.501 0.004
9 Al 0.665 0.665 0.838
10 Al 0.753 0.753 0.126
11 Al 0.332 0.841 0.174
12 Al 0.165 0.669 0.831
13 Al 0.841 0.332 0.174
14 Al 0.005 0.489 0.488
15 Al 0.581 0.581 0.539
16 Al 0.489 0.005 0.488
17 Al 0.246 0.246 0.872
18 O 0.327 0.327 0.403
19 O 0.135 0.692 0.603
20 O 0.978 0.520 0.750
21 O 0.820 0.820 0.451
22 O 0.991 0.991 0.749
23 O 0.837 0.837 0.907
24 O 0.520 0.978 0.750
25 O 0.692 0.135 0.603
26 O 0.638 0.198 0.060
27 O 0.803 0.365 0.933
28 O 0.336 0.336 0.913
29 O 0.495 0.495 0.759
30 O 0.511 0.511 0.224
31 O 0.665 0.665 0.085
32 O 0.198 0.638 0.060
33 O 0.365 0.803 0.933
34 O 0.327 0.823 0.417
35 O 0.513 0.007 0.246
36 O 0.010 0.010 0.258
37 O 0.160 0.160 0.075
38 O 0.180 0.180 0.578
39 O 0.823 0.327 0.417
40 O 0.007 0.513 0.246
41 O 0.669 0.669 0.587

Values from the calculation:
Calculated density: 3.495 Mg/m³
Total energy after the MP2020 corrections: -7.68 eV per atom

***

Record 6
A geometry-optimized Mg5Al7O16 structure. Source: the Materials Project database, functional PBE-GGA.

Lattice parameters (Å, degrees): 5.799 5.819 8.236 89.12 90.00 90.00
Element x y z (fractional)
1 Mg 0.500 0.000 0.000
2 Mg 0.500 0.249 0.623
3 Mg 0.000 0.748 0.126
4 Mg 0.000 0.252 0.874
5 Mg 0.500 0.751 0.377
6 Al 0.000 0.500 0.500
7 Al 0.500 0.500 0.000
8 Al 0.000 0.000 0.500
9 Al 0.750 0.254 0.252
10 Al 0.250 0.746 0.748
11 Al 0.250 0.254 0.252
12 Al 0.750 0.746 0.748
13 O 0.000 0.028 0.264
14 O 0.500 0.521 0.762
15 O 0.000 0.475 0.269
16 O 0.500 0.960 0.750
17 O 0.221 0.250 0.488
18 O 0.733 0.733 0.979
19 O 0.779 0.250 0.488
20 O 0.267 0.733 0.979
21 O 0.500 0.479 0.238
22 O 0.000 0.972 0.736
23 O 0.500 0.040 0.250
24 O 0.000 0.525 0.731
25 O 0.267 0.267 0.021
26 O 0.779 0.750 0.512
27 O 0.733 0.267 0.021
28 O 0.221 0.750 0.512

Values from the calculation:
Calculated density: 3.384 Mg/m³
Total energy after the MP2020 corrections: -7.30 eV per atom

***

Record 7
A geometry-optimized MgAl2P3O12 structure. Source: the Materials Project database, functional PBE-GGA.

Lattice parameters (Å, degrees): 9.330 9.330 9.193 89.99 89.99 89.16
Element x y z (fractional)
1 Mg 0.743 0.997 0.000
2 Mg 0.997 0.743 0.500
3 Al 0.497 0.498 0.250
4 Al 0.004 0.256 0.500
5 Al 0.498 0.497 0.750
6 Al 0.256 0.004 0.000
7 P 0.744 0.492 0.499
8 P 0.492 0.744 0.999
9 P 0.011 0.010 0.250
10 P 0.493 0.255 0.001
11 P 0.010 0.011 0.750
12 P 0.255 0.493 0.501
13 O 0.493 0.348 0.863
14 O 0.144 0.007 0.848
15 O 0.157 0.361 0.495
16 O 0.492 0.650 0.138
17 O 0.144 0.019 0.152
18 O 0.168 0.630 0.507
19 O 0.481 0.649 0.862
20 O 0.871 0.020 0.838
21 O 0.830 0.629 0.493
22 O 0.480 0.349 0.137
23 O 0.872 0.005 0.163
24 O 0.844 0.358 0.505
25 O 0.348 0.493 0.363
26 O 0.007 0.144 0.348
27 O 0.361 0.157 0.995
28 O 0.650 0.492 0.638
29 O 0.019 0.144 0.652
30 O 0.630 0.168 0.007
31 O 0.649 0.481 0.362
32 O 0.020 0.871 0.338
33 O 0.629 0.830 0.993
34 O 0.349 0.480 0.637
35 O 0.005 0.872 0.663
36 O 0.358 0.844 0.005

Values from the calculation:
Calculated density: 1.507 Mg/m³
Total energy after the MP2020 corrections: -7.64 eV per atom

***

Record 8
A geometry-optimized MgAlPO5 structure. Source: the Materials Project database, functional PBE-GGA.

Lattice parameters (Å, degrees): 10.472 5.511 7.189 81.47 90.00 90.00
Element x y z (fractional)
1 Mg 0.858 0.881 0.014
2 Mg 0.358 0.619 0.986
3 Mg 0.142 0.119 0.986
4 Mg 0.642 0.381 0.014
5 Al 0.825 0.444 0.359
6 Al 0.325 0.056 0.641
7 Al 0.175 0.556 0.641
8 Al 0.675 0.944 0.359
9 P 0.903 0.431 0.780
10 P 0.403 0.069 0.220
11 P 0.097 0.569 0.220
12 P 0.597 0.931 0.780
13 O 0.454 0.315 0.112
14 O 0.954 0.185 0.888
15 O 0.546 0.685 0.888
16 O 0.046 0.815 0.112
17 O 0.684 0.057 0.912
18 O 0.184 0.443 0.088
19 O 0.316 0.943 0.088
20 O 0.816 0.557 0.912
21 O 0.984 0.396 0.283
22 O 0.484 0.104 0.717
23 O 0.016 0.604 0.717
24 O 0.516 0.896 0.283
25 O 0.780 0.745 0.268
26 O 0.280 0.755 0.732
27 O 0.220 0.255 0.732
28 O 0.720 0.245 0.268
29 O 0.825 0.382 0.607
30 O 0.325 0.118 0.393
31 O 0.175 0.618 0.393
32 O 0.675 0.882 0.607

Values from the calculation:
Calculated density: 2.627 Mg/m³
Total energy after the MP2020 corrections: -7.60 eV per atom
Excess energy over the best structure of this formula in the dataset: 0.00 eV per formula unit

***

Record 9
A geometry-optimized MgAlPO5 structure. Source: the Materials Project database, functional PBE-GGA.

Lattice parameters (Å, degrees): 10.475 5.314 7.194 89.36 90.00 90.00
Element x y z (fractional)
1 Mg 0.143 0.096 0.979
2 Mg 0.857 0.904 0.021
3 Mg 0.357 0.596 0.979
4 Mg 0.643 0.404 0.021
5 Al 0.170 0.668 0.642
6 Al 0.330 0.168 0.642
7 Al 0.670 0.832 0.358
8 Al 0.830 0.332 0.358
9 P 0.907 0.412 0.778
10 P 0.093 0.588 0.222
11 P 0.593 0.912 0.778
12 P 0.407 0.088 0.222
13 O 0.213 0.961 0.732
14 O 0.287 0.461 0.732
15 O 0.040 0.824 0.120
16 O 0.666 0.832 0.602
17 O 0.016 0.592 0.723
18 O 0.816 0.556 0.909
19 O 0.460 0.324 0.120
20 O 0.713 0.539 0.268
21 O 0.787 0.039 0.268
22 O 0.540 0.676 0.880
23 O 0.316 0.944 0.091
24 O 0.166 0.668 0.398
25 O 0.684 0.056 0.909
26 O 0.484 0.092 0.723
27 O 0.960 0.176 0.880
28 O 0.984 0.408 0.277
29 O 0.516 0.908 0.277
30 O 0.834 0.332 0.602
31 O 0.334 0.168 0.398
32 O 0.184 0.444 0.091

Values from the calculation:
Calculated density: 2.692 Mg/m³
Total energy after the MP2020 corrections: -7.59 eV per atom
Excess energy over the best structure of this formula in the dataset: 0.03 eV per formula unit

***

Record 10
A geometry-optimized MgAlSbO4 structure. Source: the Materials Project database, functional PBE-GGA.

Lattice parameters (Å, degrees): 3.006 5.046 5.559 94.42 90.00 90.00
Element x y z (fractional)
1 Mg 0.079 0.000 0.500
2 Al 0.557 0.500 0.500
3 Sb 0.881 0.000 0.000
4 O 0.040 0.672 0.677
5 O 0.566 0.185 0.712
6 O 0.566 0.815 0.288
7 O 0.040 0.328 0.323

Values from the calculation:
Calculated density: 4.682 Mg/m³
Total energy after the MP2020 corrections: -6.56 eV per atom
Excess energy over the best structure of this formula in the dataset: 0.00 eV per formula unit

***

Record 11
A geometry-optimized MgAlSbO4 structure. Source: the Materials Project database, functional PBE-GGA.

Lattice parameters (Å, degrees): 3.025 5.610 5.610 103.20 90.00 90.00
Element x y z (fractional)
1 Mg 0.000 0.692 0.308
2 Al 0.500 0.424 0.576
3 Sb 0.000 0.036 0.964
4 O 0.000 0.663 0.669
5 O 0.500 0.223 0.777
6 O 0.500 0.825 0.175
7 O 0.000 0.331 0.337

Values from the calculation:
Calculated density: 4.248 Mg/m³
Total energy after the MP2020 corrections: -6.46 eV per atom
Excess energy over the best structure of this formula in the dataset: 0.66 eV per formula unit

***

Record 12
A geometry-optimized MgScAlO4 structure. Source: the Materials Project database, functional PBE-GGA.

Lattice parameters (Å, degrees): 3.269 3.269 8.567 90.00 101.00 60.00
Element x y z (fractional)
1 Mg 0.566 0.217 0.350
2 Sc 0.991 0.005 0.986
3 Al 0.427 0.787 0.640
4 O 0.758 0.121 0.637
5 O 0.277 0.862 0.415
6 O 0.406 0.297 0.109
7 O 0.575 0.712 0.863

Values from the calculation:
Calculated density: 3.441 Mg/m³
Total energy after the MP2020 corrections: -7.99 eV per atom

***

Question: Which formula does entry 6 have?
Answer: Mg5Al7O16

***

Question: The highest calculated density belongs to which entry?
Answer: MgAlNi2

***

Question: The highest calculated density belongs to which entry?
Answer: MgAlNi2